Material: MnP4O12
Method: DFT, PBE+U
State: optimized geometry

- ΔE to the lowest computed polymorph: 31 meV per atom
- Formation energy: -229 kJ/mol of atoms

a = 7.3557 Å, b = 7.3971 Å, c = 9.8595 Å
α = 93.85°, β = 110.96°, γ = 111.80°
Space group P-1 (No. 2)
Symmetry-distinct sites (fractional):
Mn 0.0000 0.0000 0.0000 (multiplicity 1)
Mn 0.0000 0.5000 0.5000 (multiplicity 1)
P 0.0076 0.3394 0.8113 (multiplicity 2)
P 0.2620 0.7395 0.0245 (multiplicity 2)
P 0.2881 0.2664 0.5332 (multiplicity 2)
P 0.4891 0.3119 0.3137 (multiplicity 2)
O 0.0383 0.1551 0.8478 (multiplicity 2)
O 0.0428 0.6538 0.3504 (multiplicity 2)
O 0.1027 0.8179 0.9340 (multiplicity 2)
O 0.1245 0.3400 0.4371 (multiplicity 2)
O 0.1820 0.6477 0.1506 (multiplicity 2)
O 0.2161 0.5363 0.9180 (multiplicity 2)
O 0.2198 0.0986 0.6042 (multiplicity 2)
O 0.2873 0.6830 0.6458 (multiplicity 2)
O 0.3287 0.2008 0.1601 (multiplicity 2)
O 0.4022 0.2176 0.4329 (multiplicity 2)
O 0.4863 0.4624 0.6581 (multiplicity 2)
O 0.4961 0.8679 0.0958 (multiplicity 2)